# UB2Ru3

A relaxed structure of UB2Ru3 (PBE, Materials Project).

Calculated values
The calculation puts the total energy at -9.206 eV per atom.

Cell: 5.5208 5.5208 2.9680 Å, 90.00 90.00 120.00°
Space group P6/mmm (No. 191)
Symmetry-distinct sites (fractional):
U (0.0000, 0.0000, 0.0000) x1
B (0.3333, 0.6667, 0.0000) x2
Ru (0.0000, 0.5000, 0.5000) x3


# Er5In4Pt2

A relaxed structure of Er5In4Pt2 (PBE, Materials Project).

Calculated values
The calculation puts the total energy at -4.997 eV per atom.

Cell: 8.155 18.216 3.599 Å, 90.00 90.00 90.00°
Space group Pbam (No. 55)
Symmetry-distinct sites (fractional):
Er (0.000, 0.000, 0.000) x2
Er (0.117, 0.414, 0.000) x4
Er (0.244, 0.220, 0.000) x4
In (0.076, 0.850, 0.500) x4
In (0.208, 0.567, 0.500) x4
Pt (0.024, 0.303, 0.500) x4


# Ba2LiTmCu3O7

A relaxed structure of Ba2LiTmCu3O7 (PBE, Materials Project).

Calculated values
The calculation puts the energy with MP2020 corrections at -85.8 eV per cell. The energy relative to the lowest polymorph listed for this composition is 87 kJ/mol of formula units. The calculation puts the total energy at -5.787 eV per atom.

Cell: 3.887 3.906 12.916 Å, 90.00 90.00 90.00°
Space group Pmm2 (No. 25)
Symmetry-distinct sites (fractional):
Ba (0.000, 0.000, 0.000) x1
Ba (0.000, 0.000, 0.313) x1
Li (0.000, 0.500, 0.841) x1
Tm (0.000, 0.000, 0.596) x1
Cu (0.500, 0.500, 0.134) x1
Cu (0.500, 0.500, 0.470) x1
Cu (0.500, 0.500, 0.706) x1
O (0.000, 0.500, 0.132) x1
O (0.000, 0.500, 0.488) x1
O (0.000, 0.500, 0.701) x1
O (0.500, 0.000, 0.483) x1
O (0.500, 0.000, 0.699) x1
O (0.500, 0.500, 0.279) x1
O (0.500, 0.500, 0.965) x1


# Ca8H3N4

A relaxed structure of Ca8H3N4 (PBE, Materials Project).

Calculated values
The calculation puts the energy with MP2020 corrections at -351.6 eV per cell. The energy relative to the lowest polymorph listed for this composition is 209 kJ/mol of formula units. The calculation puts the total energy at -4.591 eV per atom.

Cell: 7.181 7.183 29.636 Å, 96.92 90.04 119.94°
Space group P-1 (No. 2)
Symmetry-distinct sites (fractional):
Ca (0.006, 0.251, 0.242) x2
Ca (0.035, 0.769, 0.247) x2
Ca (0.084, 0.018, 0.847) x2
Ca (0.086, 0.566, 0.848) x2
Ca (0.115, 0.034, 0.352) x2
Ca (0.117, 0.582, 0.353) x2
Ca (0.165, 0.831, 0.953) x2
Ca (0.194, 0.349, 0.958) x2
Ca (0.201, 0.851, 0.442) x2
Ca (0.232, 0.366, 0.448) x2
Ca (0.284, 0.618, 0.047) x2
Ca (0.286, 0.166, 0.048) x2
Ca (0.312, 0.182, 0.553) x2
Ca (0.312, 0.630, 0.553) x2
Ca (0.365, 0.431, 0.153) x2
Ca (0.394, 0.949, 0.158) x2
Ca (0.408, 0.451, 0.642) x2
Ca (0.435, 0.970, 0.647) x2
Ca (0.484, 0.218, 0.247) x2
Ca (0.486, 0.766, 0.248) x2
H (0.000, 0.000, 0.500) x1
H (0.000, 0.500, 0.500) x1
H (0.099, 0.800, 0.600) x2
H (0.100, 0.800, 0.100) x2
H (0.200, 0.100, 0.700) x2
H (0.300, 0.400, 0.300) x2
H (0.300, 0.400, 0.800) x2
H (0.400, 0.700, 0.900) x2
H (0.500, 0.000, 0.000) x1
N (0.000, 0.000, 0.000) x1
N (0.000, 0.500, 0.000) x1
N (0.100, 0.300, 0.100) x2
N (0.100, 0.300, 0.600) x2
N (0.200, 0.100, 0.200) x2
N (0.200, 0.600, 0.200) x2
N (0.300, 0.900, 0.300) x2
N (0.300, 0.900, 0.800) x2
N (0.400, 0.200, 0.400) x2
N (0.400, 0.700, 0.400) x2
N (0.500, 0.500, 0.000) x1
N (0.500, 0.500, 0.500) x1